# 1
# K2AgMoI6

Crystalline K2AgMoI6 at its relaxed geometry (PBE, Materials Project).

POSCAR file:
```
K2AgMoI6
1.0
-4.8703 -2.9343 5.9951
-3.0021 5.1108 5.7565
-8.0477 1.8709 0.0718
I K Ag Mo
6 2 1 1
Direct
0.2417 0.7583 0.2417
0.7583 0.2417 0.2417
0.2417 0.2417 0.7583
0.2417 0.7583 0.7583
0.7583 0.7583 0.2417
0.7583 0.2417 0.7583
0.7500 0.7500 0.7500
0.2500 0.2500 0.2500
0.5000 0.5000 0.5000
0.0000 0.0000 0.0000
```

Calculated values
theoretical density	4.3	g cm⁻³
calculated formation energy	-8.55	eV per formula unit
raw total energy	-3.132	eV per atom

---

# 2
# K2NdAgI6

Crystalline K2NdAgI6 at its relaxed geometry (PBE, Materials Project).

POSCAR file:
```
K2NdAgI6
1.0
0.0000 6.1296 6.1296
6.1296 0.0000 6.1296
6.1296 6.1296 0.0000
I K Nd Ag
6 2 1 1
Direct
0.7530 0.2470 0.7530
0.2470 0.2470 0.7530
0.7530 0.7530 0.2470
0.2470 0.7530 0.7530
0.2470 0.7530 0.2470
0.7530 0.2470 0.2470
0.7500 0.7500 0.7500
0.2500 0.2500 0.2500
0.5000 0.5000 0.5000
0.0000 0.0000 0.0000
```

Calculated values
theoretical density	3.9	g cm⁻³
calculated formation energy	-13.70	eV per formula unit
raw total energy	-3.039	eV per atom

---

# 3
# K2AgSbI6

Crystalline K2AgSbI6 at its relaxed geometry (PBE, Materials Project).

POSCAR file:
```
K2AgSbI6
1.0
0.0000 6.0186 6.0186
6.0186 0.0000 6.0186
6.0186 6.0186 0.0000
I K Sb Ag
6 2 1 1
Direct
0.7485 0.2515 0.7485
0.2515 0.2515 0.7485
0.7485 0.2515 0.2515
0.2515 0.7485 0.7485
0.2515 0.7485 0.2515
0.7485 0.7485 0.2515
0.2500 0.2500 0.2500
0.7500 0.7500 0.7500
0.0000 0.0000 0.0000
0.5000 0.5000 0.5000
```

Calculated values
theoretical density	4.1	g cm⁻³
calculated formation energy	-9.58	eV per formula unit
raw total energy	-2.563	eV per atom

---

# 4
# LaAgI4O12

Crystalline LaAgI4O12 at its relaxed geometry (PBE, Materials Project).

POSCAR file:
```
LaAgI4O12
1.0
2.8859 16.1739 0.0000
-2.8859 16.1739 0.0000
0.0000 0.1508 13.0773
Ag O I La
4 48 16 4
Direct
0.0773 0.6451 0.6186
0.6451 0.0773 0.1186
0.6710 0.1989 0.7063
0.1989 0.6710 0.2063
0.0924 0.0083 0.2082
0.3770 0.4505 0.0450
0.1488 0.7832 0.6781
0.3514 0.5742 0.8701
0.5809 0.6073 0.2463
0.5742 0.3514 0.3701
0.9819 0.0753 0.5007
0.0092 0.6789 0.0330
0.9285 0.9118 0.5189
0.0628 0.8906 0.3372
0.6766 0.7671 0.9878
0.4505 0.3770 0.5450
0.1297 0.1081 0.5513
0.6789 0.0092 0.5330
0.7832 0.1488 0.1781
0.4840 0.6103 0.4263
0.1985 0.3780 0.6412
0.8341 0.7161 0.1506
0.6073 0.5809 0.7463
0.6103 0.4840 0.9263
0.6386 0.7602 0.7794
0.3780 0.1985 0.1412
0.4357 0.5838 0.1243
0.1429 0.2632 0.0789
0.8119 0.9298 0.8092
0.1449 0.1585 0.2515
0.2332 0.4254 0.4314
0.7671 0.6766 0.4878
0.0753 0.9819 0.0007
0.9573 0.6104 0.8258
0.9298 0.8119 0.3092
0.8906 0.0628 0.8372
0.5986 0.6659 0.4406
0.6104 0.9573 0.3258
0.4254 0.2332 0.9314
0.2632 0.1429 0.5789
0.7602 0.6386 0.2794
0.2922 0.1803 0.8722
0.9118 0.9285 0.0189
0.5838 0.4357 0.6243
0.1803 0.2922 0.3722
0.3849 0.3628 0.2518
0.7161 0.8341 0.6506
0.1585 0.1449 0.7515
0.3628 0.3849 0.7518
0.0083 0.0924 0.7082
0.6659 0.5986 0.9406
0.1081 0.1297 0.0513
0.3290 0.9792 0.6333
0.9557 0.5513 0.7087
0.5320 0.1375 0.7981
0.6575 0.1266 0.4607
0.9265 0.4618 0.3977
0.4081 0.7800 0.3635
0.8017 0.1928 0.2935
0.7800 0.4081 0.8635
0.4618 0.9265 0.8977
0.1266 0.6575 0.9607
0.1375 0.5320 0.2981
0.5513 0.9557 0.2087
0.8219 0.2869 0.5954
0.9792 0.3290 0.1333
0.2869 0.8219 0.0954
0.1928 0.8017 0.7935
0.0761 0.4646 0.0012
0.4646 0.0761 0.5012
0.2734 0.6844 0.4998
0.6844 0.2734 0.9998
```

Calculated values
theoretical density	5.1	g cm⁻³
calculated formation energy	-23.17	eV per formula unit
raw total energy	-4.898	eV per atom

---

# 5
# Rb2AgMoI6

Crystalline Rb2AgMoI6 at its relaxed geometry (PBE, Materials Project).

POSCAR file:
```
Rb2AgMoI6
1.0
-0.5138 -6.7950 -4.7317
-5.9633 -5.5932 1.4070
-6.2532 -0.8406 -5.3866
I Rb Ag Mo
6 2 1 1
Direct
0.2414 0.2414 0.7586
0.2414 0.7586 0.7586
0.7586 0.2414 0.2414
0.7586 0.7586 0.2414
0.7586 0.2414 0.7586
0.2414 0.7586 0.2414
0.7500 0.7500 0.7500
0.2500 0.2500 0.2500
0.5000 0.5000 0.5000
0.0000 0.0000 0.0000
```

Calculated values
theoretical density	4.7	g cm⁻³
calculated formation energy	-8.92	eV per formula unit
raw total energy	-3.143	eV per atom

---

# 6
# AgI3N2

Crystalline AgI3N2 at its relaxed geometry (PBE, Materials Project).

POSCAR file:
```
AgI3N2
1.0
3.0887 -0.5680 -1.2772
1.3115 -5.1355 5.4554
-9.2771 -17.7947 -14.5211
N I Ag
8 12 4
Direct
0.7500 0.3193 0.4699
0.2500 0.6085 0.7100
0.7500 0.8193 0.0301
0.7500 0.8915 0.2100
0.2500 0.1807 0.9699
0.2500 0.6807 0.5301
0.2500 0.1085 0.7900
0.7500 0.3915 0.2900
0.2500 0.1143 0.6060
0.2500 0.0525 0.2256
0.2500 0.5525 0.2744
0.2500 0.9088 0.0698
0.7500 0.0912 0.9302
0.7500 0.4475 0.7256
0.7500 0.5912 0.5698
0.7500 0.8857 0.3940
0.7500 0.3857 0.1060
0.2500 0.4088 0.4302
0.7500 0.9475 0.7744
0.2500 0.6143 0.8940
0.7500 0.8558 0.6581
0.2500 0.6442 0.1581
0.7500 0.3558 0.8419
0.2500 0.1442 0.3419
```

Calculated values
theoretical density	5.4	g cm⁻³
calculated formation energy	6.62	eV per formula unit
raw total energy	-2.789	eV per atom

---

# 7
# AgIO2

Crystalline AgIO2 at its relaxed geometry (PBE, Materials Project).

POSCAR file:
```
AgIO2
1.0
-2.3462 -0.5543 7.2181
0.0886 7.1458 2.6159
-3.2712 -2.7335 -6.3040
I O Ag
4 8 4
Direct
0.3750 0.1250 0.2500
0.8750 0.1250 0.7500
0.8750 0.6250 0.7500
0.8750 0.1250 0.2500
0.7179 0.4286 0.2893
0.1786 0.3893 0.2107
0.1786 0.9679 0.7893
0.5714 0.2821 0.7107
0.0321 0.8214 0.2107
0.5714 0.8607 0.2893
0.6107 0.8214 0.7893
0.1393 0.4286 0.7107
0.3750 0.1250 0.7500
0.3750 0.6250 0.7500
0.3750 0.6250 0.2500
0.8750 0.6250 0.2500
```

Calculated values
theoretical density	6.8	g cm⁻³
calculated formation energy	-1.21	eV per formula unit
raw total energy	-3.521	eV per atom

---

# 8
# AgIO3

Crystalline AgIO3 at its relaxed geometry (PBE, Materials Project).

POSCAR file:
```
AgIO3
1.0
5.8972 0.0000 0.0000
0.0000 7.2606 0.0000
0.0000 0.0000 15.5116
Ag O I
8 24 8
Direct
0.5010 0.6058 0.7974
0.5010 0.3942 0.2974
0.0010 0.6058 0.7026
0.4936 0.8690 0.2941
0.9936 0.8690 0.2059
0.0010 0.3942 0.2026
0.4936 0.1310 0.7941
0.9936 0.1310 0.7059
0.7959 0.6757 0.5646
0.8296 0.1678 0.8805
0.6690 0.3739 0.6951
0.6690 0.6261 0.1951
0.1441 0.1356 0.2929
0.7947 0.0631 0.5668
0.8209 0.5602 0.8919
0.1690 0.3739 0.8049
0.3296 0.8322 0.1195
0.3209 0.5602 0.6081
0.6441 0.1356 0.2071
0.7947 0.9369 0.0668
0.3209 0.4398 0.1081
0.2947 0.0631 0.9332
0.8296 0.8322 0.3805
0.1441 0.8644 0.7929
0.8209 0.4398 0.3919
0.3296 0.1678 0.6195
0.2959 0.3243 0.4354
0.7959 0.3243 0.0646
0.6441 0.8644 0.7071
0.2959 0.6757 0.9354
0.2947 0.9369 0.4332
0.1690 0.6261 0.3049
0.6001 0.1306 0.0893
0.0147 0.6359 0.4098
0.5147 0.3641 0.5902
0.6001 0.8694 0.5893
0.1001 0.1306 0.4107
0.5147 0.6359 0.0902
0.1001 0.8694 0.9107
0.0147 0.3641 0.9098
```

Calculated values
theoretical density	5.7	g cm⁻³
calculated formation energy	-3.58	eV per formula unit
raw total energy	-4.143	eV per atom

---

- Which of these has the lowest calculated formation energy?
  LaAgI4O12